Density functional theory data (PBE) for a geometry-optimized Eu3S2F4 structure.

Lattice parameters (Å, degrees): 10.1685 10.1685 10.1685 157.42 157.42 32.14
Fractional positions:
Eu1 0.6577 0.6577 0.0000
Eu2 0.3423 0.3423 0.0000
Eu3 0.0000 0.0000 0.0000
F1 0.9299 0.4299 0.5000
F2 0.5701 0.0701 0.5000
F3 0.0701 0.5701 0.5000
F4 0.4299 0.9299 0.5000
S1 0.1972 0.1972 0.0000
S2 0.8028 0.8028 0.0000

calculated formation energy: -3.350 eV per atom
size of the total moment: 19.0 μB per formula unit
crystal system: tetragonal
SG: I4/mmm (139)